Na10Ti4Si9Sn4S3O48 | GGA-PBE | relaxed

Cell lengths 17.9091, 8.9559, 22.4056 Å; angles 90.04, 89.92, 119.93 degrees
With the nearest neighbours (Å) after each atom.
Element x y z (fractional)
O 0.2373 0.3154 0.0237  1 Si 1.64
O 0.1440 0.8313 0.9748  1 Si 1.61
O 0.9329 0.3504 0.6365  1 S 1.48
O 0.8361 0.1650 0.7426  1 Si 1.65
O 0.0827 0.9936 0.9106  1 Si 1.65
O 0.9911 0.8020 0.0898  1 S 1.48
O 0.2338 0.1572 0.2445  1 S 1.49
O 0.0066 0.1804 0.9124  1 Si 1.68
O 0.7469 0.1380 0.6436  1 Si 1.64
O 0.4095 0.0400 0.8111  1 Si 1.63
O 0.0220 0.2277 0.1895  1 Si 1.64
O 0.9268 0.5523 0.0287  1 S 1.49
O 0.3244 0.1480 0.1439  1 Si 1.64
O 0.4107 0.9831 0.6930  1 Si 1.65, 1 Ti 1.84
O 0.9813 0.7888 0.8075  1 Si 1.64
O 0.2499 0.1458 0.9257  1 Si 1.67, 1 Ti 1.87
O 0.5770 0.4554 0.9795  1 Si 1.63
O 0.4260 0.3586 0.9249  1 Si 1.65
O 0.7477 0.3737 0.1413  1 Si 1.62
O 0.4277 0.4946 0.4247  1 Si 1.65
O 0.4091 0.9828 0.4071  1 Si 1.65
O 0.7593 0.7007 0.2570  1 Si 1.64
O 0.9129 0.5107 0.7396  1 Si 1.63
O 0.5643 0.5024 0.8605  1 Si 1.64
O 0.3247 0.4937 0.9250  1 Si 1.64
O 0.2595 0.8276 0.7510  1 Si 1.65
O 0.0247 0.8265 0.6901  1 Si 1.66
O 0.8211 0.1491 0.4246  1 Si 1.64
O 0.8983 0.8333 0.1947  1 Si 1.64
O 0.0640 0.6356 0.0792  1 S 1.49
O 0.1576 0.8479 0.2533  1 S 1.47
O 0.5618 0.6338 0.0829  1 S 1.51
O 0.4278 0.5478 0.0281  1 S 1.48
O 0.2496 0.8751 0.3555  1 Si 1.63
O 0.0872 0.6871 0.7542  1 Si 1.65
O 0.7729 0.6930 0.9701  1 S 1.49
O 0.0841 0.1819 0.4091  1 Si 1.64
O 0.1395 0.4531 0.4749  1 Si 1.62
O 0.8252 0.5141 0.9221  1 S 1.47
O 0.1901 0.8915 0.8565  1 Si 1.63
O 0.6913 0.8865 0.8558  1 Si 1.65
O 0.6089 0.1865 0.8038  1 S 1.50
O 0.6559 0.4665 0.7544  1 S 1.49
O 0.5790 0.9714 0.9099  1 Si 1.62
O 0.0741 0.6327 0.3627  1 Si 1.64
O 0.5135 0.8383 0.4091  1 Si 1.65
O 0.7278 0.3061 0.0232  1 Si 1.63
O 0.7573 0.8224 0.7527  1 Si 1.66
O 0.4263 0.3061 0.5273  1 S 1.49
O 0.9100 0.3035 0.2455  1 Si 1.65
O 0.4863 0.1657 0.3074  1 Si 1.66
O 0.2513 0.3560 0.1410  1 Si 1.64, 1 Ti 1.83
O 0.9277 0.3090 0.5275  1 S 1.48
O 0.5863 0.4847 0.2578  1 Si 1.62
O 0.5131 0.2042 0.1906  1 Si 1.66, 1 Ti 1.83
O 0.2461 0.1393 0.6433  1 Si 1.63
O 0.1728 0.8496 0.5811  1 Si 1.65
O 0.9236 0.3597 0.9226  1 Si 1.65
O 0.7641 0.8286 0.4724  1 Si 1.65, 1 Ti 1.81
O 0.1878 0.5048 0.3600  1 Si 1.64, 1 Ti 1.84
O 0.5619 0.4906 0.5800  1 S 1.49
O 0.6662 0.4937 0.0811  1 Si 1.66
O 0.2387 0.1631 0.5242  1 Si 1.66
O 0.5833 0.7032 0.4781  1 Si 1.64
O 0.8204 0.1241 0.1454  1 Si 1.64
O 0.4106 0.3022 0.2450  1 Si 1.64
O 0.8457 0.5263 0.5228  1 Si 1.66
O 0.9080 0.7793 0.3126  1 Si 1.65
O 0.5128 0.8307 0.6910  1 Si 1.66, 1 Ti 1.84
O 0.0790 0.4507 0.9787  1 Si 1.65
O 0.3241 0.1522 0.4230  1 Si 1.64
O 0.1102 0.1920 0.8043  1 S 1.51
O 0.5862 0.6944 0.7481  1 Si 1.65
O 0.2780 0.8315 0.4714  1 Si 1.63
O 0.4177 0.0290 0.0910  1 Si 1.67
O 0.6736 0.8486 0.5777  1 Si 1.65
O 0.3457 0.5182 0.2416  1 Si 1.63
O 0.0921 0.2082 0.6958  1 S 1.48
O 0.2629 0.7036 0.2559  1 Si 1.65
O 0.4182 0.8059 0.5894  1 Si 1.67
O 0.5815 0.1847 0.4094  1 Si 1.63
O 0.1718 0.4956 0.0820  1 Si 1.65
O 0.7541 0.1499 0.9193  1 Si 1.63
O 0.6872 0.5047 0.3599  1 Si 1.65, 1 Ti 1.83
O 0.0919 0.0322 0.5857  1 Si 1.66
O 0.4119 0.5099 0.7403  1 Si 1.62
O 0.4137 0.7990 0.3104  1 Si 1.67
O 0.9271 0.4928 0.4231  1 Si 1.64
O 0.5907 0.0244 0.5903  1 Si 1.65
O 0.3474 0.1650 0.0256  1 Si 1.65
O 0.4869 0.7983 0.0913  1 S 1.47
O 0.4332 0.3526 0.6358  1 S 1.50
O 0.3398 0.1669 0.7397  1 Si 1.65
O 0.9204 0.0214 0.0857  1 Si 1.66
O 0.7503 0.8738 0.3557  1 Si 1.63
O 0.7424 0.6332 0.5768  1 Si 1.62
O 0.1088 0.0271 0.3052  1 S 1.50
O 0.7322 0.3076 0.7436  1 S 1.50
O 0.0805 0.7091 0.4792  1 Si 1.65
O 0.3246 0.4946 0.6396  1 Si 1.63
O 0.6456 0.4712 0.4743  1 Si 1.63
O 0.2756 0.7176 0.9733  1 Si 1.63
O 0.0147 0.8385 0.4104  1 Si 1.65
O 0.5918 0.2086 0.6956  1 S 1.46
O 0.9885 0.1777 0.5882  1 S 1.49
O 0.5714 0.6291 0.3619  1 Si 1.64
O 0.4327 0.5109 0.1366  1 S 1.50
O 0.8405 0.5112 0.2470  1 Si 1.62
O 0.0622 0.4919 0.5817  1 S 1.50
O 0.2326 0.3053 0.7433  1 S 1.48
O 0.2426 0.6298 0.5821  1 Si 1.62
O 0.2420 0.8536 0.0836  1 Si 1.62
O 0.9060 0.9765 0.4149  1 Si 1.65
O 0.5915 0.9850 0.1969  1 S 1.47
O 0.7448 0.8471 0.0798  1 Si 1.62
O 0.6476 0.8328 0.9726  1 Si 1.64
O 0.7310 0.1517 0.2496  1 S 1.52
O 0.9069 0.0348 0.8127  1 Si 1.65
O 0.7606 0.6368 0.8617  1 S 1.48
O 0.1568 0.4674 0.7515  1 S 1.47
O 0.7509 0.3591 0.4241  1 Si 1.66
O 0.4877 0.1764 0.5892  1 S 1.48
O 0.0939 0.1532 0.0877  1 Si 1.65
O 0.6516 0.8415 0.2534  1 S 1.48
O 0.5892 0.1557 0.0918  1 Si 1.65
O 0.8234 0.4965 0.6392  1 Si 1.64
O 0.9393 0.5174 0.1367  1 S 1.48
O 0.0869 0.4949 0.2584  1 Si 1.63
O 0.9183 0.8050 0.5838  1 Si 1.66
O 0.4081 0.8427 0.1943  1 Si 1.65
O 0.2530 0.3612 0.4239  1 Si 1.65
O 0.0646 0.4911 0.8587  1 Si 1.61
O 0.2483 0.6102 0.8587  1 Si 1.63
O 0.7367 0.1641 0.5251  1 Si 1.66, 1 Ti 1.86
O 0.0920 0.9753 0.1968  1 S 1.48
O 0.4079 0.8327 0.9116  1 Si 1.63
O 0.5074 0.1810 0.9128  1 Si 1.63
O 0.4852 0.7866 0.8098  1 Si 1.63
O 0.9820 0.1787 0.3093  1 Si 1.65
O 0.8551 0.1593 0.0256  1 Si 1.65
O 0.3475 0.5311 0.5232  1 Si 1.66
O 0.6017 0.0171 0.3063  1 S 1.49
O 0.8980 0.8251 0.9131  1 S 1.50
O 0.9003 0.9751 0.6926  1 Si 1.62
Si 0.8527 0.0009 0.7501  4 O 1.62-1.66
Si 0.5217 0.3747 0.9184  4 O 1.63-1.65
Si 0.3126 0.6623 0.9161  4 O 1.63-1.64
Si 0.1889 0.3311 0.0837  4 O 1.64-1.65
Si 0.3557 0.7088 0.2492  4 O 1.63-1.67
Si 0.1622 0.9524 0.9172  4 O 1.61-1.67
Si 0.9987 0.6991 0.7493  4 O 1.63-1.66
Si 0.6637 0.3776 0.4183  4 O 1.63-1.66
Si 0.8096 0.9573 0.4146  4 O 1.63-1.65
Si 0.8314 0.0347 0.0848  4 O 1.62-1.66
Si 0.8281 0.6156 0.5820  4 O 1.62-1.66
Si 0.0020 0.3041 0.2502  4 O 1.63-1.65
Si 0.0198 0.3795 0.9180  4 O 1.61-1.68
Si 0.3556 0.0018 0.7488  4 O 1.63-1.65
Si 0.4953 0.7004 0.7486  4 O 1.62-1.66
Si 0.6848 0.3302 0.0842  4 O 1.62-1.66
Si 0.3118 0.9593 0.4135  4 O 1.63-1.65
Si 0.0231 0.6644 0.4176  4 O 1.64-1.65
Si 0.5242 0.6671 0.4180  4 O 1.64-1.65
Si 0.3290 0.6143 0.5836  4 O 1.62-1.67
Si 0.1883 0.0477 0.5841  4 O 1.63-1.66
Si 0.1655 0.3769 0.4179  4 O 1.62-1.65
Si 0.8511 0.7020 0.2511  4 O 1.62-1.65
Si 0.6667 0.9612 0.9156  4 O 1.62-1.65
Si 0.3283 0.0423 0.0852  4 O 1.62-1.67
Si 0.6874 0.0444 0.5847  4 O 1.64-1.66
Si 0.5004 0.2968 0.2508  4 O 1.62-1.66
Na 0.8458 0.3476 0.8305  6 O 2.45-2.71
Na 0.4828 0.6634 0.9165  5 O 2.40-2.62
Na 0.4838 0.3034 0.4161  4 O 2.39-2.50
Na 0.6643 0.0297 0.4158  4 O 2.37-2.56
Na 0.0052 0.9972 0.0019  6 O 2.44-2.66
Na 0.6846 0.9991 0.7457  5 O 2.36-2.58
Na 0.3204 0.0002 0.2498  4 O 2.33-2.56
Na 0.5148 0.3283 0.0806  5 O 2.35-2.53
Na 0.0176 0.3283 0.0797  6 O 2.40-2.64
Na 0.5026 0.0093 0.5017  6 O 2.50-2.64
Na 0.0178 0.7029 0.5810  5 O 2.37-2.56
Na 0.1753 0.6728 0.6670  5 O 2.38-2.55
Na 0.1730 0.6588 0.1686  5 O 2.42-2.65
Na 0.3494 0.0308 0.9168  7 O 2.45-2.74
Na 0.5077 0.0065 0.0003  6 O 2.49-2.66
Na 0.8508 0.0422 0.9126  5 O 2.37-2.48
Na 0.3415 0.3529 0.3301  6 O 2.43-2.67
Na 0.3450 0.3460 0.8308  5 O 2.44-2.70
Na 0.8390 0.3515 0.3319  5 O 2.37-2.63
Na 0.8497 0.6652 0.4159  6 O 2.42-2.68
Na 0.9811 0.3004 0.4165  5 O 2.36-2.64
Na 0.1845 0.9923 0.7449  6 O 2.41-2.68
Na 0.6764 0.6707 0.6627  5 O 2.37-2.63
Na 0.5204 0.7042 0.5790  5 O 2.37-2.53
Na 0.9998 0.0031 0.5013  6 O 2.44-2.60
Na 0.8170 0.9963 0.2511  4 O 2.32-2.57
Na 0.3530 0.6716 0.4169  7 O 2.45-2.69
Na 0.1670 0.0284 0.4194  5 O 2.40-2.66
Na 0.1666 0.3088 0.9208  6 O 2.46-2.72
Na 0.6725 0.6605 0.1698  5 O 2.41-2.62
Sn 0.6656 0.6673 0.0220  6 O 2.00-2.20
Sn 0.9983 0.0095 0.1486  5 O 1.98-2.14
Sn 0.1729 0.6719 0.0199  5 O 1.97-2.10
Sn 0.9954 0.9956 0.3521  6 O 1.99-2.18
Sn 0.1739 0.6764 0.5197  5 O 2.00-2.08
Sn 0.8283 0.3212 0.9819  4 O 1.97-2.05
Sn 0.9950 0.9839 0.6459  4 O 1.96-2.07
Sn 0.6619 0.6709 0.8110  5 O 1.98-2.18
Sn 0.8287 0.3322 0.1875  6 O 1.96-2.19
Sn 0.9978 0.9970 0.8505  6 O 1.99-2.19
Sn 0.4972 0.9982 0.8527  6 O 2.02-2.16
Sn 0.1684 0.6716 0.8153  5 O 2.00-2.10
S 0.4772 0.3288 0.5827  4 O 1.48-1.50
S 0.9792 0.6271 0.0834  4 O 1.48-1.49
S 0.9763 0.3298 0.5832  4 O 1.48-1.50
S 0.4755 0.6255 0.0839  4 O 1.47-1.51
S 0.8119 0.6628 0.9162  4 O 1.47-1.50
S 0.1476 0.2953 0.7477  4 O 1.47-1.51
S 0.6450 0.2912 0.7480  4 O 1.46-1.50
S 0.1469 0.0002 0.2493  4 O 1.47-1.50
S 0.6408 0.9951 0.2505  4 O 1.47-1.52
Ti 0.3279 0.3354 0.4784  5 O 1.88-2.03
Ti 0.4941 0.0158 0.1465  4 O 1.83-1.96
Ti 0.1667 0.6515 0.3154  5 O 1.84-2.04
Ti 0.3324 0.3406 0.1860  4 O 1.83-2.01
Ti 0.4928 0.9943 0.3525  5 O 1.87-2.09
Ti 0.8242 0.3316 0.4786  4 O 1.86-2.01
Ti 0.3262 0.3166 0.9778  5 O 1.87-2.02
Ti 0.4919 0.9752 0.6449  4 O 1.84-2.01
Ti 0.8325 0.3349 0.6862  5 O 1.86-2.06
Ti 0.6648 0.6489 0.3150  5 O 1.83-2.04
Ti 0.3354 0.3325 0.6851  5 O 1.86-2.00
Ti 0.6744 0.6787 0.5185  5 O 1.81-2.02

## Properties
SG: P1 (1)
Total energy (eV/atom): -6.86
Energy relative to the elements (eV per atom): -2.675